(1)
# MgCu2Bi4O8 (PBE, optimized geometry)
# corrected total energy (MP2020 scheme): -5.454 eV per atom
# spin magnetization: 0.0 Bohr magnetons per cell
# energy of formation: -1.12 eV per atom
data_MgCu2Bi4O8
_chemical_formula_sum 'Mg1 Cu2 Bi4 O8'
_space_group_name_H-M_alt 'P 1'
_space_group_IT_number 1
_cell_length_a 6.0499
_cell_length_b 7.1172
_cell_length_c 6.9745
_cell_angle_alpha 79.95
_cell_angle_beta 64.30
_cell_angle_gamma 64.85
loop_
_space_group_symop_operation_xyz
'x,y,z'
loop_
_atom_site_label
_atom_site_type_symbol
_atom_site_fract_x
_atom_site_fract_y
_atom_site_fract_z
_atom_site_occupancy
O1 O 0.1044 0.2954 0.8952 1
Bi1 Bi 0.7089 0.5033 0.1347 1
Bi2 Bi 0.3469 0.4967 0.8653 1
Cu1 Cu 0.6876 0.0000 0.0000 1
Mg1 Mg 0.1898 0.5000 0.5000 1
O2 O 0.2950 0.7046 0.1048 1
O3 O 0.4954 0.2975 0.1084 1
O4 O 0.5503 0.8990 0.2825 1
Bi3 Bi 0.1318 0.1138 0.5014 1
O5 O 0.7318 0.1010 0.7175 1
O6 O 0.9462 0.1017 0.2853 1
Cu2 Cu 0.1878 0.0000 0.0000 1
O7 O 0.3332 0.8983 0.7147 1
Bi4 Bi 0.7470 0.8862 0.4986 1
O8 O 0.9012 0.7025 0.8916 1



(2)
# V6GaSn (PBE, optimized geometry)
# spin magnetization: 2.5 Bohr magnetons per cell
# energy of formation: -0.10 eV per atom
data_V6GaSn
_chemical_formula_sum 'V6 Ga1 Sn1'
_space_group_name_H-M_alt 'P 1'
_space_group_IT_number 1
_cell_length_a 4.8829
_cell_length_b 4.8829
_cell_length_c 4.8829
_cell_angle_alpha 90.00
_cell_angle_beta 90.00
_cell_angle_gamma 90.00
loop_
_space_group_symop_operation_xyz
'x,y,z'
loop_
_atom_site_label
_atom_site_type_symbol
_atom_site_fract_x
_atom_site_fract_y
_atom_site_fract_z
_atom_site_occupancy
V1 V 0.0000 0.5000 0.7412 1
V2 V 0.7412 0.0000 0.5000 1
V3 V 0.0000 0.5000 0.2588 1
Ga1 Ga 0.5000 0.5000 0.5000 1
V4 V 0.5000 0.7412 0.0000 1
Sn1 Sn 0.0000 0.0000 0.0000 1
V5 V 0.2588 0.0000 0.5000 1
V6 V 0.5000 0.2588 0.0000 1



(3)
# SrEuHfInO6 (PBE, optimized geometry)
# corrected total energy (MP2020 scheme): -8.440 eV per atom
# spin magnetization: 6.0 Bohr magnetons per cell
# energy of formation: -3.01 eV per atom
data_SrEuHfInO6
_chemical_formula_sum 'Sr1 Eu1 Hf1 In1 O6'
_space_group_name_H-M_alt 'P 1'
_space_group_IT_number 1
_cell_length_a 5.8904
_cell_length_b 5.8904
_cell_length_c 5.8904
_cell_angle_alpha 60.00
_cell_angle_beta 60.00
_cell_angle_gamma 60.00
loop_
_space_group_symop_operation_xyz
'x,y,z'
loop_
_atom_site_label
_atom_site_type_symbol
_atom_site_fract_x
_atom_site_fract_y
_atom_site_fract_z
_atom_site_occupancy
O1 O 0.2456 0.7544 0.2456 1
O2 O 0.7544 0.7544 0.2456 1
Hf1 Hf 0.0000 0.0000 0.0000 1
O3 O 0.2456 0.7544 0.7544 1
O4 O 0.7544 0.2456 0.2456 1
O5 O 0.7544 0.2456 0.7544 1
O6 O 0.2456 0.2456 0.7544 1
In1 In 0.5000 0.5000 0.5000 1
Eu1 Eu 0.2500 0.2500 0.2500 1
Sr1 Sr 0.7500 0.7500 0.7500 1



(4)
# MgAl2Cl8 (PBE, optimized geometry)
# corrected total energy (MP2020 scheme): -4.234 eV per atom
# energy of formation: -2.06 eV per atom
data_MgAl2Cl8
_chemical_formula_sum 'Mg2 Al4 Cl16'
_space_group_name_H-M_alt 'P 1'
_space_group_IT_number 1
_cell_length_a 9.8095
_cell_length_b 9.8095
_cell_length_c 11.6965
_cell_angle_alpha 55.69
_cell_angle_beta 55.69
_cell_angle_gamma 49.47
loop_
_space_group_symop_operation_xyz
'x,y,z'
loop_
_atom_site_label
_atom_site_type_symbol
_atom_site_fract_x
_atom_site_fract_y
_atom_site_fract_z
_atom_site_occupancy
Cl1 Cl 0.1609 0.7194 0.1715 1
Cl2 Cl 0.3111 0.8581 0.7827 1
Mg1 Mg 0.9982 0.0018 0.2500 1
Cl3 Cl 0.3832 0.3068 0.0490 1
Al1 Al 0.1592 0.6688 0.5318 1
Cl4 Cl 0.8581 0.3111 0.2827 1
Al2 Al 0.6688 0.1592 0.0318 1
Cl5 Cl 0.8243 0.8782 0.0129 1
Mg2 Mg 0.0018 0.9982 0.7500 1
Cl6 Cl 0.3068 0.3832 0.5490 1
Cl7 Cl 0.1757 0.1218 0.9871 1
Cl8 Cl 0.8391 0.2806 0.8285 1
Cl9 Cl 0.6932 0.6168 0.4510 1
Cl10 Cl 0.6889 0.1419 0.2173 1
Cl11 Cl 0.2806 0.8391 0.3285 1
Al3 Al 0.8408 0.3312 0.4682 1
Cl12 Cl 0.8782 0.8243 0.5129 1
Cl13 Cl 0.6168 0.6932 0.9510 1
Al4 Al 0.3312 0.8408 0.9682 1
Cl14 Cl 0.7194 0.1609 0.6715 1
Cl15 Cl 0.1218 0.1757 0.4871 1
Cl16 Cl 0.1419 0.6889 0.7173 1



(5)
# KCePrGeO6 (PBE, optimized geometry)
# corrected total energy (MP2020 scheme): -7.493 eV per atom
# spin magnetization: 0.0 Bohr magnetons per cell
# energy of formation: -2.88 eV per atom
data_KCePrGeO6
_chemical_formula_sum 'K1 Ce1 Pr1 Ge1 O6'
_space_group_name_H-M_alt 'P 1'
_space_group_IT_number 1
_cell_length_a 5.8141
_cell_length_b 5.8141
_cell_length_c 5.8141
_cell_angle_alpha 60.00
_cell_angle_beta 60.00
_cell_angle_gamma 60.00
loop_
_space_group_symop_operation_xyz
'x,y,z'
loop_
_atom_site_label
_atom_site_type_symbol
_atom_site_fract_x
_atom_site_fract_y
_atom_site_fract_z
_atom_site_occupancy
O1 O 0.2676 0.7324 0.7324 1
O2 O 0.7324 0.2676 0.2676 1
K1 K 0.2500 0.2500 0.2500 1
Pr1 Pr 0.7500 0.7500 0.7500 1
O3 O 0.2676 0.7324 0.2676 1
O4 O 0.2676 0.2676 0.7324 1
O5 O 0.7324 0.7324 0.2676 1
O6 O 0.7324 0.2676 0.7324 1
Ce1 Ce 0.0000 0.0000 0.0000 1
Ge1 Ge 0.5000 0.5000 0.5000 1



(6)
# BaH4O6 (PBE, optimized geometry)
# corrected total energy (MP2020 scheme): -5.435 eV per atom
# spin magnetization: 2.0 Bohr magnetons per cell
# energy of formation: -1.33 eV per atom
data_BaH4O6
_chemical_formula_sum 'Ba2 H8 O12'
_space_group_name_H-M_alt 'P 1'
_space_group_IT_number 1
_cell_length_a 5.2496
_cell_length_b 6.0494
_cell_length_c 8.6901
_cell_angle_alpha 82.10
_cell_angle_beta 86.98
_cell_angle_gamma 69.95
loop_
_space_group_symop_operation_xyz
'x,y,z'
loop_
_atom_site_label
_atom_site_type_symbol
_atom_site_fract_x
_atom_site_fract_y
_atom_site_fract_z
_atom_site_occupancy
Ba1 Ba 0.1565 0.7851 0.7908 1
O1 O 0.4921 0.5574 0.0419 1
O2 O 0.6254 0.0689 0.6465 1
O3 O 0.5651 0.3695 0.9358 1
O4 O 0.1970 0.1664 0.9453 1
O5 O 0.2726 0.9918 0.4127 1
O6 O 0.8162 0.9721 0.5402 1
Ba2 Ba 0.8421 0.1426 0.2131 1
O7 O 0.4027 0.9479 0.2770 1
H1 H 0.4126 0.2831 0.4918 1
O8 O 0.6329 0.5967 0.6151 1
H2 H 0.6446 0.6362 0.0304 1
O9 O 0.9027 0.6332 0.2241 1
H3 H 0.2455 0.4901 0.3590 1
H4 H 0.5632 0.5329 0.5337 1
H5 H 0.7207 0.7120 0.2712 1
H6 H 0.3473 0.2419 0.9467 1
H7 H 0.8442 0.3471 0.8475 1
O10 O 0.4234 0.4099 0.4085 1
O11 O 0.0410 0.3086 0.8056 1
H8 H 0.6652 0.7387 0.5611 1
O12 O 0.8455 0.7530 0.0611 1



(7)
# CaAl4Tl4O12 (PBE, optimized geometry)
# corrected total energy (MP2020 scheme): -6.199 eV per atom
# spin magnetization: 0.0 Bohr magnetons per cell
# energy of formation: -2.11 eV per atom
data_CaAl4Tl4O12
_chemical_formula_sum 'Ca1 Al4 Tl4 O12'
_space_group_name_H-M_alt 'P 1'
_space_group_IT_number 1
_cell_length_a 5.6339
_cell_length_b 6.5527
_cell_length_c 7.3998
_cell_angle_alpha 90.00
_cell_angle_beta 90.00
_cell_angle_gamma 90.41
loop_
_space_group_symop_operation_xyz
'x,y,z'
loop_
_atom_site_label
_atom_site_type_symbol
_atom_site_fract_x
_atom_site_fract_y
_atom_site_fract_z
_atom_site_occupancy
Tl1 Tl 0.5377 0.2736 0.2500 1
O1 O 0.4086 0.0029 0.7500 1
O2 O 0.7394 0.8874 0.9701 1
Al1 Al 0.1080 0.4493 0.9978 1
O3 O 0.2984 0.6671 0.5431 1
O4 O 0.0992 0.4862 0.2500 1
O5 O 0.7629 0.4364 0.4906 1
Tl2 Tl 0.6068 0.5953 0.7500 1
Tl3 Tl 0.9986 0.0877 0.2500 1
O6 O 0.2984 0.6671 0.9569 1
O7 O 0.7394 0.8874 0.5299 1
O8 O 0.2696 0.1982 0.4719 1
Al2 Al 0.1080 0.4493 0.5022 1
Ca1 Ca 0.7468 0.6921 0.2500 1
O9 O 0.7629 0.4364 0.0094 1
Tl4 Tl 0.8358 0.1033 0.7500 1
O10 O 0.2696 0.1982 0.0281 1
O11 O 0.0525 0.3815 0.7500 1
Al3 Al 0.4058 0.9293 0.9845 1
Al4 Al 0.4058 0.9293 0.5155 1
O12 O 0.4207 0.9170 0.2500 1



(8)
# CsW3Br7 (PBE, optimized geometry)
# corrected total energy (MP2020 scheme): -5.737 eV per atom
# energy of formation: -1.08 eV per atom
data_CsW3Br7
_chemical_formula_sum 'Cs4 W12 Br28'
_space_group_name_H-M_alt 'P 1'
_space_group_IT_number 1
_cell_length_a 10.5431
_cell_length_b 10.5431
_cell_length_c 15.9805
_cell_angle_alpha 90.00
_cell_angle_beta 90.00
_cell_angle_gamma 120.00
loop_
_space_group_symop_operation_xyz
'x,y,z'
loop_
_atom_site_label
_atom_site_type_symbol
_atom_site_fract_x
_atom_site_fract_y
_atom_site_fract_z
_atom_site_occupancy
Cs1 Cs 0.3333 0.6667 0.2388 1
Cs2 Cs 0.6667 0.3333 0.7388 1
Br1 Br 0.9744 0.6559 0.9077 1
W1 W 0.8127 0.4787 0.3177 1
Cs3 Cs 0.0000 0.0000 0.4995 1
Br2 Br 0.6706 0.6268 0.3201 1
W2 W 0.3350 0.8132 0.6823 1
W3 W 0.6660 0.1873 0.3177 1
Br3 Br 0.6268 0.6706 0.8201 1
W4 W 0.6650 0.4782 0.1823 1
Br4 Br 0.9734 0.3181 0.5919 1
Br5 Br 0.6667 0.3333 0.0468 1
Br6 Br 0.3333 0.6667 0.5468 1
Br7 Br 0.3271 0.3722 0.6798 1
Br8 Br 0.6553 0.6819 0.0919 1
W5 W 0.1873 0.6660 0.8177 1
W6 W 0.3340 0.5213 0.8177 1
Br9 Br 0.6559 0.9744 0.4077 1
Br10 Br 0.3722 0.3271 0.1798 1
Br11 Br 0.3441 0.3184 0.9077 1
Br12 Br 0.3181 0.9734 0.0919 1
W7 W 0.4782 0.6650 0.6823 1
Br13 Br 0.0451 0.6729 0.6798 1
Br14 Br 0.3184 0.3441 0.4077 1
Br15 Br 0.6816 0.0256 0.9077 1
W8 W 0.8132 0.3350 0.1823 1
W9 W 0.5213 0.3340 0.3177 1
Br16 Br 0.0438 0.3732 0.8201 1
W10 W 0.1868 0.5218 0.6823 1
Br17 Br 0.3333 0.6667 0.9532 1
Br18 Br 0.6667 0.3333 0.4532 1
Br19 Br 0.3294 0.9562 0.8201 1
Br20 Br 0.0266 0.3447 0.0919 1
Cs4 Cs 0.0000 0.0000 0.9995 1
Br21 Br 0.6729 0.0451 0.1798 1
Br22 Br 0.3732 0.0438 0.3201 1
Br23 Br 0.9562 0.3294 0.3201 1
W11 W 0.5218 0.1868 0.1823 1
Br24 Br 0.6278 0.9549 0.6798 1
W12 W 0.4787 0.8127 0.8177 1
Br25 Br 0.6819 0.6553 0.5919 1
Br26 Br 0.0256 0.6816 0.4077 1
Br27 Br 0.9549 0.6278 0.1798 1
Br28 Br 0.3447 0.0266 0.5919 1



What is the energy of formation in the eighth record? -1.08 eV per atom



Look up the energy of formation of the fifth one. -2.88 eV per atom



Which value of energy of formation does entry 3 give? -3.01 eV per atom



What did the fifth record say?
# KCePrGeO6 (PBE, optimized geometry)
# corrected total energy (MP2020 scheme): -7.493 eV per atom
# spin magnetization: 0.0 Bohr magnetons per cell
# energy of formation: -2.88 eV per atom
data_KCePrGeO6
_chemical_formula_sum 'K1 Ce1 Pr1 Ge1 O6'
_space_group_name_H-M_alt 'P 1'
_space_group_IT_number 1
_cell_length_a 5.8141
_cell_length_b 5.8141
_cell_length_c 5.8141
_cell_angle_alpha 60.00
_cell_angle_beta 60.00
_cell_angle_gamma 60.00
loop_
_space_group_symop_operation_xyz
'x,y,z'
loop_
_atom_site_label
_atom_site_type_symbol
_atom_site_fract_x
_atom_site_fract_y
_atom_site_fract_z
_atom_site_occupancy
O1 O 0.2676 0.7324 0.7324 1
O2 O 0.7324 0.2676 0.2676 1
K1 K 0.2500 0.2500 0.2500 1
Pr1 Pr 0.7500 0.7500 0.7500 1
O3 O 0.2676 0.7324 0.2676 1
O4 O 0.2676 0.2676 0.7324 1
O5 O 0.7324 0.7324 0.2676 1
O6 O 0.7324 0.2676 0.7324 1
Ce1 Ce 0.0000 0.0000 0.0000 1
Ge1 Ge 0.5000 0.5000 0.5000 1